No. 1
# Ho3Ru2

A relaxed structure of Ho3Ru2 (PBE, the Materials Project database).

space group: No. 176
calculated formation energy: -0.30 eV/atom

a = 4.722 Å, b = 7.562 Å, c = 7.562 Å
α = 120.00°, β = 90.00°, γ = 90.00°
Fractional positions:
Ru 0.250 0.333 0.667
Ru 0.500 0.000 0.000
Ru 0.000 0.000 0.000
Ru 0.750 0.667 0.333
Ho 0.750 0.079 0.383
Ho 0.250 0.383 0.305
Ho 0.250 0.695 0.079
Ho 0.750 0.305 0.921
Ho 0.750 0.617 0.695
Ho 0.250 0.921 0.617



No. 2
# Ho5Ru2

A relaxed structure of Ho5Ru2 (PBE, the Materials Project database).

space group: No. 15
calculated formation energy: -0.37 eV/atom

a = 6.302 Å, b = 7.268 Å, c = 8.443 Å
α = 96.67°, β = 111.91°, γ = 90.00°
Fractional positions:
Ho 0.209 0.416 0.187
Ho 0.206 0.685 0.565
Ho 0.359 0.185 0.565
Ho 0.978 0.916 0.187
Ho 0.419 0.750 0.000
Ho 0.791 0.584 0.813
Ho 0.022 0.084 0.813
Ho 0.581 0.250 0.000
Ho 0.794 0.315 0.435
Ho 0.641 0.815 0.435
Ru 0.178 0.424 0.780
Ru 0.603 0.924 0.780
Ru 0.822 0.576 0.220
Ru 0.397 0.076 0.220



No. 3
# HoSiRu

A relaxed structure of HoSiRu (PBE, the Materials Project database).

space group: No. 62
calculated formation energy: -0.84 eV/atom

a = 4.321 Å, b = 6.972 Å, c = 7.102 Å
α = 90.00°, β = 90.00°, γ = 90.00°
Fractional positions:
Si 0.250 0.303 0.106
Si 0.250 0.803 0.394
Si 0.750 0.197 0.606
Si 0.750 0.697 0.894
Ho 0.250 0.486 0.687
Ho 0.750 0.514 0.313
Ho 0.750 0.014 0.187
Ho 0.250 0.986 0.813
Ru 0.750 0.847 0.567
Ru 0.250 0.653 0.067
Ru 0.250 0.153 0.433
Ru 0.750 0.347 0.933



No. 4
# HoSi2Ru2

A relaxed structure of HoSi2Ru2 (PBE, the Materials Project database).

space group: No. 139
calculated formation energy: -0.91 eV/atom

a = 4.183 Å, b = 4.183 Å, c = 5.611 Å
α = 111.89°, β = 111.89°, γ = 90.00°
Fractional positions:
Si 0.369 0.369 0.737
Si 0.631 0.631 0.263
Ru 0.250 0.750 0.500
Ru 0.750 0.250 0.500
Ho 0.000 0.000 0.000



No. 5
# HoSnRu2

A relaxed structure of HoSnRu2 (PBE, the Materials Project database).

space group: No. 225
calculated formation energy: -0.38 eV/atom

a = 4.669 Å, b = 4.669 Å, c = 4.669 Å
α = 60.00°, β = 60.00°, γ = 60.00°
Fractional positions:
Ru 0.000 0.000 0.000
Ru 0.500 0.500 0.500
Ho 0.250 0.250 0.250
Sn 0.750 0.750 0.750



No. 6
# HoTmRu2

A relaxed structure of HoTmRu2 (PBE, the Materials Project database).

space group: No. 225
calculated formation energy: -0.39 eV/atom

a = 4.764 Å, b = 4.764 Å, c = 4.764 Å
α = 60.00°, β = 60.00°, γ = 60.00°
Fractional positions:
Ho 0.500 0.500 0.500
Ru 0.750 0.750 0.750
Ru 0.250 0.250 0.250
Tm 0.000 0.000 0.000



No. 7
# YHoRu2

A relaxed structure of YHoRu2 (PBE, the Materials Project database).

space group: No. 225
calculated formation energy: -0.32 eV/atom

a = 4.812 Å, b = 4.812 Å, c = 4.812 Å
α = 60.00°, β = 60.00°, γ = 60.00°
Fractional positions:
Ru 0.750 0.750 0.750
Ru 0.250 0.250 0.250
Y 0.000 0.000 0.000
Ho 0.500 0.500 0.500



No. 8
# Ho2ZnRu

A relaxed structure of Ho2ZnRu (PBE, the Materials Project database).

space group: No. 225
calculated formation energy: -0.39 eV/atom

a = 4.900 Å, b = 4.900 Å, c = 4.900 Å
α = 60.00°, β = 60.00°, γ = 60.00°
Fractional positions:
Zn 0.500 0.500 0.500
Ho 0.750 0.750 0.750
Ho 0.250 0.250 0.250
Ru 0.000 0.000 0.000



No. 9
# HoZrRu2

A relaxed structure of HoZrRu2 (PBE, the Materials Project database).

space group: No. 225
calculated formation energy: -0.52 eV/atom

a = 4.710 Å, b = 4.710 Å, c = 4.710 Å
α = 60.00°, β = 60.00°, γ = 60.00°
Fractional positions:
Ru 0.750 0.750 0.750
Ru 0.250 0.250 0.250
Ho 0.500 0.500 0.500
Zr 0.000 0.000 0.000



No. 10
# HoS2

A relaxed structure of HoS2 (PBE, the Materials Project database).

space group: No. 129
calculated formation energy: -1.99 eV/atom
corrected total energy (MP2020 scheme): -37.63 eV/cell

a = 3.848 Å, b = 3.848 Å, c = 7.934 Å
α = 90.00°, β = 90.00°, γ = 90.00°
Fractional positions:
Ho 0.500 0.000 0.274
Ho 0.000 0.500 0.726
S 0.500 0.000 0.633
S 0.000 0.500 0.367
S 0.000 0.000 0.000
S 0.500 0.500 0.000



No. 11
# Ho5S7

A relaxed structure of Ho5S7 (PBE, the Materials Project database).

space group: No. 12
calculated formation energy: -2.36 eV/atom
corrected total energy (MP2020 scheme): -80.15 eV/cell

a = 6.658 Å, b = 6.658 Å, c = 11.568 Å
α = 76.05°, β = 76.05°, γ = 33.05°
Fractional positions:
S 0.500 0.500 0.500
S 0.259 0.259 0.352
S 0.042 0.042 0.215
S 0.741 0.741 0.648
S 0.341 0.341 0.051
S 0.958 0.958 0.785
S 0.659 0.659 0.949
Ho 0.888 0.888 0.421
Ho 0.000 0.000 0.000
Ho 0.700 0.700 0.187
Ho 0.300 0.300 0.813
Ho 0.112 0.112 0.579



No. 12
# Ho3Sc2S7

A relaxed structure of Ho3Sc2S7 (PBE, the Materials Project database).

space group: No. 8
calculated formation energy: -2.31 eV/atom
corrected total energy (MP2020 scheme): -83.08 eV/cell

a = 6.459 Å, b = 6.459 Å, c = 11.385 Å
α = 76.19°, β = 76.19°, γ = 33.59°
Fractional positions:
S 0.035 0.035 0.209
S 0.655 0.655 0.950
S 0.505 0.505 0.504
S 0.735 0.735 0.647
S 0.254 0.254 0.357
S 0.968 0.968 0.785
S 0.347 0.347 0.048
Sc 0.112 0.112 0.579
Sc 0.000 0.000 0.997
Ho 0.888 0.888 0.425
Ho 0.699 0.699 0.187
Ho 0.302 0.302 0.809



No. 13
# Sm3HoS4

A relaxed structure of Sm3HoS4 (PBE, the Materials Project database).

space group: No. 166
calculated formation energy: -2.26 eV/atom
corrected total energy (MP2020 scheme): -53.40 eV/cell

a = 13.274 Å, b = 13.274 Å, c = 13.274 Å
α = 17.17°, β = 17.17°, γ = 17.17°
Fractional positions:
S 0.125 0.125 0.125
S 0.628 0.628 0.628
S 0.875 0.875 0.875
S 0.372 0.372 0.372
Sm 0.749 0.749 0.749
Sm 0.251 0.251 0.251
Sm 0.500 0.500 0.500
Ho 0.000 0.000 0.000



No. 14
# SrHo2S4

A relaxed structure of SrHo2S4 (PBE, the Materials Project database).

space group: No. 62
calculated formation energy: -2.41 eV/atom
corrected total energy (MP2020 scheme): -177.22 eV/cell

a = 3.977 Å, b = 12.047 Å, c = 14.316 Å
α = 90.00°, β = 90.00°, γ = 90.00°
Fractional positions:
S 0.250 0.204 0.829
S 0.750 0.872 0.471
S 0.750 0.796 0.171
S 0.750 0.473 0.784
S 0.250 0.412 0.577
S 0.750 0.296 0.329
S 0.750 0.088 0.077
S 0.250 0.128 0.529
S 0.250 0.027 0.284
S 0.750 0.372 0.029
S 0.250 0.912 0.923
S 0.750 0.588 0.423
S 0.250 0.527 0.216
S 0.250 0.628 0.971
S 0.250 0.704 0.671
S 0.750 0.973 0.716
Ho 0.750 0.063 0.890
Ho 0.250 0.937 0.110
Ho 0.250 0.417 0.901
Ho 0.750 0.083 0.401
Ho 0.250 0.437 0.390
Ho 0.250 0.917 0.599
Ho 0.750 0.583 0.099
Ho 0.750 0.563 0.610
Sr 0.250 0.260 0.165
Sr 0.250 0.760 0.335
Sr 0.750 0.240 0.665
Sr 0.750 0.740 0.835



No. 15
# Ho10Te7S10

A relaxed structure of Ho10Te7S10 (PBE, the Materials Project database).

space group: No. 1
calculated formation energy: -1.91 eV/atom
corrected total energy (MP2020 scheme): -160.70 eV/cell

a = 7.622 Å, b = 9.655 Å, c = 11.361 Å
α = 91.02°, β = 102.51°, γ = 111.41°
Fractional positions:
Te 0.939 0.939 0.106
Te 0.342 0.345 0.306
Te 0.591 0.590 0.815
Te 0.463 0.460 0.097
Te 0.198 0.199 0.602
Te 0.055 0.051 0.897
Te 0.790 0.792 0.423
S 0.194 0.619 0.458
S 0.998 0.563 0.144
S 0.010 0.432 0.862
S 0.785 0.375 0.546
S 0.385 0.964 0.343
S 0.607 0.021 0.660
S 0.402 0.834 0.063
S 0.202 0.777 0.748
S 0.790 0.223 0.258
S 0.610 0.175 0.950
Ho 0.413 0.106 0.134
Ho 0.161 0.502 0.667
Ho 0.583 0.901 0.875
Ho 0.230 0.895 0.537
Ho 0.031 0.708 0.940
Ho 0.988 0.293 0.072
Ho 0.638 0.296 0.741
Ho 0.757 0.099 0.466
Ho 0.370 0.689 0.267
Ho 0.813 0.497 0.331



No. 16
# Ho4US7

A relaxed structure of Ho4US7 (PBE, the Materials Project database).

space group: No. 8
calculated formation energy: -2.19 eV/atom
corrected total energy (MP2020 scheme): -84.83 eV/cell

a = 6.660 Å, b = 6.660 Å, c = 11.627 Å
α = 75.81°, β = 75.81°, γ = 32.90°
Fractional positions:
S 0.501 0.501 0.502
S 0.659 0.659 0.949
S 0.256 0.256 0.349
S 0.960 0.960 0.785
S 0.040 0.040 0.214
S 0.341 0.341 0.051
S 0.740 0.740 0.653
U 0.884 0.884 0.424
Ho 0.118 0.118 0.577
Ho 0.302 0.302 0.811
Ho 0.699 0.699 0.188
Ho 0.000 0.000 0.998



No. 17
# Ho2ZnS4

A relaxed structure of Ho2ZnS4 (PBE, the Materials Project database).

space group: No. 62
calculated formation energy: -1.98 eV/atom
corrected total energy (MP2020 scheme): -163.44 eV/cell

a = 6.340 Å, b = 7.851 Å, c = 13.517 Å
α = 90.00°, β = 90.00°, γ = 90.00°
Fractional positions:
Zn 0.416 0.250 0.095
Zn 0.084 0.250 0.595
Zn 0.916 0.750 0.405
Zn 0.584 0.750 0.905
Ho 0.001 0.250 0.267
Ho 0.500 0.500 0.500
Ho 0.999 0.750 0.733
Ho 0.500 0.000 0.500
Ho 0.501 0.750 0.233
Ho 0.000 0.000 0.000
Ho 0.499 0.250 0.767
Ho 0.000 0.500 0.000
S 0.722 0.250 0.592
S 0.255 0.012 0.669
S 0.245 0.012 0.169
S 0.759 0.750 0.567
S 0.222 0.750 0.908
S 0.278 0.750 0.408
S 0.755 0.512 0.831
S 0.255 0.488 0.669
S 0.741 0.750 0.067
S 0.245 0.488 0.169
S 0.755 0.988 0.831
S 0.745 0.988 0.331
S 0.745 0.512 0.331
S 0.259 0.250 0.933
S 0.241 0.250 0.433
S 0.778 0.250 0.092



No. 18
# HoSb

A relaxed structure of HoSb (PBE, the Materials Project database).

space group: No. 225
calculated formation energy: -1.20 eV/atom
corrected total energy (MP2020 scheme): -11.12 eV/cell

a = 4.371 Å, b = 4.371 Å, c = 4.371 Å
α = 60.00°, β = 60.00°, γ = 60.00°
Fractional positions:
Sb 0.500 0.500 0.500
Ho 0.000 0.000 0.000



No. 19
# Ho5Sb3

A relaxed structure of Ho5Sb3 (PBE, the Materials Project database).

space group: No. 193
calculated formation energy: -0.97 eV/atom
corrected total energy (MP2020 scheme): -86.19 eV/cell

a = 8.944 Å, b = 8.944 Å, c = 6.278 Å
α = 90.00°, β = 90.00°, γ = 120.00°
Fractional positions:
Sb 0.389 0.000 0.750
Sb 0.389 0.389 0.250
Sb 0.000 0.611 0.250
Sb 0.611 0.000 0.250
Sb 0.611 0.611 0.750
Sb 0.000 0.389 0.750
Ho 0.667 0.333 0.000
Ho 0.754 0.000 0.750
Ho 0.667 0.333 0.500
Ho 0.333 0.667 0.000
Ho 0.246 0.246 0.750
Ho 0.333 0.667 0.500
Ho 0.000 0.754 0.750
Ho 0.246 0.000 0.250
Ho 0.000 0.246 0.250
Ho 0.754 0.754 0.250



No. 20
# Ho2Sb5

A relaxed structure of Ho2Sb5 (PBE, the Materials Project database).

space group: No. 11
calculated formation energy: -0.76 eV/atom
corrected total energy (MP2020 scheme): -140.63 eV/cell

a = 4.226 Å, b = 13.169 Å, c = 14.642 Å
α = 77.94°, β = 90.00°, γ = 90.00°
Fractional positions:
Ho 0.750 0.331 0.422
Ho 0.750 0.047 0.638
Ho 0.250 0.669 0.578
Ho 0.250 0.953 0.362
Ho 0.250 0.393 0.770
Ho 0.750 0.338 0.145
Ho 0.750 0.607 0.230
Ho 0.250 0.662 0.855
Sb 0.750 0.857 0.518
Sb 0.750 0.574 0.449
Sb 0.250 0.152 0.172
Sb 0.750 0.279 0.938
Sb 0.250 0.420 0.975
Sb 0.250 0.425 0.266
Sb 0.250 0.970 0.092
Sb 0.750 0.284 0.653
Sb 0.750 0.030 0.908
Sb 0.750 0.580 0.025
Sb 0.250 0.716 0.347
Sb 0.750 0.858 0.221
Sb 0.250 0.721 0.062
Sb 0.750 0.138 0.322
Sb 0.750 0.575 0.734
Sb 0.250 0.426 0.551
Sb 0.250 0.143 0.482
Sb 0.250 0.142 0.779
Sb 0.250 0.862 0.678
Sb 0.750 0.848 0.828



No. 21
# HoSb

A relaxed structure of HoSb (PBE, the Materials Project database).

space group: No. 221
calculated formation energy: -0.86 eV/atom
corrected total energy (MP2020 scheme): -10.43 eV/cell

a = 3.792 Å, b = 3.792 Å, c = 3.792 Å
α = 90.00°, β = 90.00°, γ = 90.00°
Fractional positions:
Ho 0.000 0.000 0.000
Sb 0.500 0.500 0.500